Record 1
Li2MnF5: optimized geometry, meta-GGA r2SCAN.

Formation energy   -293.05 kJ/mol of atoms
Space-group type   C2/c (15)
Magnetic moment   0.500 μB per atom

Unit cell a=5.519 b=5.519 c=7.325 alpha=109.76 beta=109.76 gamma=53.12
Sites, in units of the cell vectors:
Li 0.126 0.142 0.241
Li 0.142 0.126 0.741
Li 0.858 0.874 0.259
Li 0.874 0.858 0.759
Mn 0.500 0.500 0.000
Mn 0.500 0.500 0.500
F 0.100 0.726 0.546
F 0.168 0.471 0.852
F 0.274 0.900 0.954
F 0.284 0.716 0.250
F 0.471 0.168 0.352
F 0.529 0.832 0.648
F 0.716 0.284 0.750
F 0.726 0.100 0.046
F 0.832 0.529 0.148
F 0.900 0.274 0.454

Record 2
LiMn4O8: optimized geometry, meta-GGA r2SCAN.

Formation energy   -202.38 kJ/mol of atoms
Space-group type   P2_13 (198)
Magnetic moment   0.846 μB per atom

Unit cell a=8.052 b=8.052 c=8.052 alpha=90.00 beta=90.00 gamma=90.00
Sites, in units of the cell vectors:
Li 0.000 0.000 0.000
Li 0.000 0.500 0.500
Li 0.500 0.000 0.500
Li 0.500 0.500 0.000
Mn 0.124 0.124 0.624
Mn 0.124 0.376 0.876
Mn 0.124 0.624 0.124
Mn 0.124 0.876 0.376
Mn 0.376 0.124 0.876
Mn 0.376 0.376 0.624
Mn 0.376 0.624 0.376
Mn 0.376 0.876 0.124
Mn 0.624 0.124 0.124
Mn 0.624 0.376 0.376
Mn 0.624 0.624 0.624
Mn 0.624 0.876 0.876
Mn 0.876 0.124 0.376
Mn 0.876 0.376 0.124
Mn 0.876 0.624 0.876
Mn 0.876 0.876 0.624
O 0.110 0.889 0.611
O 0.111 0.111 0.390
O 0.111 0.390 0.111
O 0.111 0.611 0.889
O 0.137 0.638 0.362
O 0.138 0.138 0.863
O 0.138 0.362 0.638
O 0.138 0.863 0.138
O 0.362 0.137 0.638
O 0.362 0.638 0.138
O 0.362 0.862 0.363
O 0.363 0.362 0.862
O 0.389 0.389 0.389
O 0.389 0.610 0.611
O 0.389 0.889 0.890
O 0.390 0.111 0.111
O 0.610 0.611 0.389
O 0.611 0.110 0.889
O 0.611 0.389 0.610
O 0.611 0.889 0.111
O 0.637 0.862 0.638
O 0.638 0.138 0.362
O 0.638 0.362 0.137
O 0.638 0.637 0.862
O 0.862 0.363 0.362
O 0.862 0.638 0.637
O 0.862 0.862 0.862
O 0.863 0.138 0.138
O 0.889 0.111 0.611
O 0.889 0.611 0.110
O 0.889 0.890 0.389
O 0.890 0.389 0.889

Record 3
Gd3Se3N: optimized geometry, meta-GGA r2SCAN.

Formation energy   -202.29 kJ/mol of atoms
Space-group type   Pnma (62)
Magnetic moment   1.000 μB per atom

Unit cell a=12.653 b=4.001 c=13.226 alpha=90.00 beta=90.00 gamma=90.00
Sites, in units of the cell vectors:
Gd 0.043 0.250 0.151
Gd 0.066 0.250 0.632
Gd 0.205 0.250 0.859
Gd 0.295 0.750 0.359
Gd 0.434 0.750 0.132
Gd 0.457 0.750 0.651
Gd 0.543 0.250 0.349
Gd 0.566 0.250 0.868
Gd 0.705 0.250 0.641
Gd 0.795 0.750 0.141
Gd 0.934 0.750 0.368
Gd 0.957 0.750 0.849
Se 0.095 0.250 0.396
Se 0.130 0.750 0.995
Se 0.224 0.750 0.689
Se 0.276 0.250 0.189
Se 0.370 0.250 0.495
Se 0.405 0.750 0.896
Se 0.595 0.250 0.104
Se 0.630 0.750 0.505
Se 0.724 0.750 0.811
Se 0.776 0.250 0.311
Se 0.870 0.250 0.005
Se 0.905 0.750 0.604
N 0.038 0.250 0.797
N 0.462 0.750 0.297
N 0.538 0.250 0.703
N 0.962 0.750 0.203